1.
## LiNbAs2 (PBE)

Data for an optimized crystal structure of LiNbAs2.

Computed properties:
- total energy (eV per atom) = -5.453
- DFT formation energy (eV per atom) = -0.120

a b c (Å): 3.9916 3.9916 6.4361
angles (deg): 90.00 90.00 90.00
Last column: nearest neighbours and their distance in Å.
Space group P-4m2 (No. 115)
One atom of each set of equivalent atoms:
Li 0.0000 0.0000 0.0000  4 As 2.64
Nb 0.5000 0.5000 0.5000  4 As 2.49
As 0.0000 0.5000 0.2687  2 Nb 2.49, 2 Li 2.64

2.
## LiNbAs2 (PBE)

Data for an optimized crystal structure of LiNbAs2.

Computed properties:
- total energy (eV per atom) = -5.801
- DFT formation energy (eV per atom) = -0.469

a b c (Å): 9.2227 3.5058 27.2962
angles (deg): 90.00 95.42 90.00
Last column: nearest neighbours and their distance in Å.
Space group Cm (No. 8)
One atom of each set of equivalent atoms:
Li 0.0000 0.0000 0.0000  6 As 2.64-2.82
Li 0.0426 0.0000 0.2588  5 As 2.53-2.62
Li 0.1479 0.5000 0.9136  4 As 2.70
Li 0.1952 0.5000 0.1702  5 As 2.66-2.96
Li 0.2754 0.0000 0.8334  5 As 2.64-2.73
Li 0.3925 0.0000 0.0814  6 As 2.64-2.94
Nb 0.0122 0.0000 0.5063  6 As 2.63-2.67
Nb 0.1483 0.5000 0.6707  6 As 2.58-2.67
Nb 0.1956 0.5000 0.4226  6 As 2.65-2.67
Nb 0.3303 0.0000 0.5888  6 As 2.66-2.68
Nb 0.3745 0.0000 0.3419  6 As 2.62-2.69
Nb 0.4675 0.5000 0.7564  6 As 2.61-2.71
As 0.0469 0.0000 0.6030  6 Nb 2.63-2.68
As 0.0933 0.0000 0.3550  1 Li 2.62, 5 Nb 2.65-2.67
As 0.1047 0.0000 0.1006  6 Li 2.64-2.82, 2 As 2.68
As 0.1779 0.5000 0.7658  4 Nb 2.58-2.71, 2 Li 2.64
As 0.2004 0.5000 0.0370  4 As 2.61-2.68, 4 Li 2.68-2.70
As 0.2293 0.5000 0.5202  6 Nb 2.65-2.67
As 0.2361 0.5000 0.2790  2 Li 2.53, 2 As 2.57, 2 Nb 2.69
As 0.2912 0.0000 0.9760  2 As 2.61, 5 Li 2.64-2.82
As 0.3592 0.0000 0.2278  4 Li 2.53-2.72, 2 As 2.57
As 0.3668 0.0000 0.6865  6 Nb 2.66-2.69
As 0.4137 0.0000 0.4383  6 Nb 2.62-2.67
As 0.4917 0.5000 0.8546  1 Nb 2.67, 5 Li 2.68-2.73

3.
## Li2NdAs2 (PBE)

Data for an optimized crystal structure of Li2NdAs2.

Computed properties:
- total energy (eV per atom) = -4.462
- DFT formation energy (eV per atom) = -0.881

a b c (Å): 4.2864 4.2864 7.0304
angles (deg): 90.00 90.00 120.00
Last column: nearest neighbours and their distance in Å.
Space group P-3m1 (No. 164)
One atom of each set of equivalent atoms:
Li 0.3333 0.6667 0.3759  4 As 2.64-2.67
Nd 0.0000 0.0000 0.0000  6 As 3.01
As 0.3333 0.6667 0.7558  4 Li 2.64-2.67